No. 1
Li2PH6O6: optimized geometry, PBE.

Results
density	1.85	g/cm³
formation enthalpy at 0 K	-1.809	eV per atom
MP2020-corrected energy	-691.34	eV/cell
uncorrected energy	-5.486	eV/atom

Cell: 11.105 11.105 11.105 Å, 109.47 109.47 109.47°
Sites, in units of the cell vectors:
Li 0.000 0.000 0.500
Li 0.000 0.500 0.000
Li 0.099 0.750 0.849
Li 0.151 0.901 0.250
Li 0.250 0.151 0.901
Li 0.250 0.651 0.401
Li 0.349 0.599 0.750
Li 0.401 0.250 0.651
Li 0.500 0.000 0.000
Li 0.500 0.500 0.500
Li 0.599 0.750 0.349
Li 0.651 0.401 0.250
Li 0.750 0.349 0.599
Li 0.750 0.849 0.099
Li 0.849 0.099 0.750
Li 0.901 0.250 0.151
P 0.000 0.399 0.500
P 0.000 0.601 0.500
P 0.101 0.101 0.101
P 0.399 0.500 0.000
P 0.500 0.000 0.399
P 0.500 0.000 0.601
P 0.601 0.500 0.000
P 0.899 0.899 0.899
H 0.005 0.042 0.283
H 0.037 0.495 0.778
H 0.042 0.283 0.005
H 0.090 0.801 0.407
H 0.093 0.894 0.683
H 0.106 0.317 0.907
H 0.183 0.289 0.590
H 0.199 0.593 0.910
H 0.211 0.394 0.301
H 0.217 0.259 0.722
H 0.222 0.963 0.505
H 0.241 0.458 0.463
H 0.259 0.722 0.217
H 0.278 0.783 0.741
H 0.283 0.005 0.042
H 0.289 0.590 0.183
H 0.301 0.211 0.394
H 0.317 0.907 0.106
H 0.394 0.301 0.211
H 0.407 0.090 0.801
H 0.410 0.817 0.711
H 0.458 0.463 0.241
H 0.463 0.241 0.458
H 0.495 0.778 0.037
H 0.505 0.222 0.963
H 0.537 0.759 0.542
H 0.542 0.537 0.759
H 0.590 0.183 0.289
H 0.593 0.910 0.199
H 0.606 0.699 0.789
H 0.683 0.093 0.894
H 0.699 0.789 0.606
H 0.711 0.410 0.817
H 0.717 0.995 0.958
H 0.722 0.217 0.259
H 0.741 0.278 0.783
H 0.759 0.542 0.537
H 0.778 0.037 0.495
H 0.783 0.741 0.278
H 0.789 0.606 0.699
H 0.801 0.407 0.090
H 0.817 0.711 0.410
H 0.894 0.683 0.093
H 0.907 0.106 0.317
H 0.910 0.199 0.593
H 0.958 0.717 0.995
H 0.963 0.505 0.222
H 0.995 0.958 0.717
O 0.018 0.299 0.919
O 0.064 0.227 0.135
O 0.070 0.635 0.408
O 0.081 0.982 0.701
O 0.092 0.727 0.662
O 0.099 0.581 0.880
O 0.120 0.901 0.419
O 0.135 0.064 0.227
O 0.162 0.436 0.570
O 0.201 0.219 0.620
O 0.219 0.620 0.201
O 0.227 0.135 0.064
O 0.273 0.338 0.908
O 0.281 0.482 0.401
O 0.299 0.919 0.018
O 0.338 0.908 0.273
O 0.365 0.592 0.930
O 0.380 0.799 0.781
O 0.401 0.281 0.482
O 0.408 0.070 0.635
O 0.419 0.120 0.901
O 0.430 0.838 0.564
O 0.436 0.570 0.162
O 0.482 0.401 0.281
O 0.518 0.599 0.719
O 0.564 0.430 0.838
O 0.570 0.162 0.436
O 0.581 0.880 0.099
O 0.592 0.930 0.365
O 0.599 0.719 0.518
O 0.620 0.201 0.219
O 0.635 0.408 0.070
O 0.662 0.092 0.727
O 0.701 0.081 0.982
O 0.719 0.518 0.599
O 0.727 0.662 0.092
O 0.773 0.865 0.936
O 0.781 0.380 0.799
O 0.799 0.781 0.380
O 0.838 0.564 0.430
O 0.865 0.936 0.773
O 0.880 0.099 0.581
O 0.901 0.419 0.120
O 0.908 0.273 0.338
O 0.919 0.018 0.299
O 0.930 0.365 0.592
O 0.936 0.773 0.865
O 0.982 0.701 0.081



No. 2
SrMg6B: optimized geometry, PBE.

Results
energy above the most stable polymorph in this dataset	0.048	eV/f.u.
density	2.11	g/cm³
formation enthalpy at 0 K	0.284	eV per atom
uncorrected energy	-1.963	eV/atom

Cell: 4.666 7.607 7.607 Å, 45.48 90.00 90.00°
Sites, in units of the cell vectors:
Sr 0.000 0.000 0.000
Mg 0.000 0.498 0.991
Mg 0.000 0.991 0.498
Mg 0.500 0.147 0.612
Mg 0.500 0.167 0.167
Mg 0.500 0.596 0.596
Mg 0.500 0.612 0.147
B 0.000 0.381 0.381



No. 3
Na3CaZrP3O12: optimized geometry, PBE.

Results
density	2.86	g/cm³
formation enthalpy at 0 K	-2.965	eV per atom
MP2020-corrected energy	-896.63	eV/cell
uncorrected energy	-7.060	eV/atom

Cell: 9.288 9.288 22.616 Å, 90.01 90.01 60.12°
Sites, in units of the cell vectors:
Na 0.002 0.998 0.500
Na 0.017 0.323 0.416
Na 0.311 0.646 0.417
Na 0.318 0.687 0.083
Na 0.323 0.017 0.916
Na 0.324 0.335 0.833
Na 0.335 0.324 0.333
Na 0.354 0.980 0.250
Na 0.367 0.643 0.750
Na 0.643 0.367 0.250
Na 0.646 0.311 0.917
Na 0.646 0.704 0.667
Na 0.687 0.318 0.583
Na 0.694 0.978 0.083
Na 0.704 0.646 0.167
Na 0.978 0.694 0.583
Na 0.980 0.354 0.750
Na 0.998 0.002 0.000
Ca 0.002 0.996 0.644
Ca 0.314 0.339 0.978
Ca 0.339 0.314 0.478
Ca 0.669 0.672 0.311
Ca 0.672 0.669 0.811
Ca 0.996 0.002 0.144
Zr 0.317 0.337 0.178
Zr 0.337 0.317 0.678
Zr 0.658 0.673 0.511
Zr 0.673 0.658 0.011
Zr 0.989 0.992 0.344
Zr 0.992 0.989 0.844
P 0.006 0.290 0.246
P 0.011 0.685 0.738
P 0.019 0.344 0.575
P 0.023 0.631 0.077
P 0.290 0.006 0.746
P 0.294 0.689 0.242
P 0.341 0.621 0.574
P 0.344 0.019 0.075
P 0.350 0.960 0.405
P 0.361 0.673 0.908
P 0.621 0.341 0.074
P 0.631 0.023 0.577
P 0.670 0.962 0.913
P 0.673 0.361 0.408
P 0.685 0.011 0.238
P 0.689 0.294 0.742
P 0.960 0.350 0.905
P 0.962 0.670 0.413
O 0.020 0.797 0.790
O 0.026 0.178 0.303
O 0.107 0.331 0.517
O 0.119 0.519 0.132
O 0.126 0.351 0.629
O 0.127 0.556 0.022
O 0.141 0.309 0.912
O 0.141 0.524 0.417
O 0.177 0.289 0.243
O 0.178 0.026 0.803
O 0.180 0.791 0.297
O 0.183 0.518 0.741
O 0.185 0.952 0.410
O 0.189 0.793 0.581
O 0.189 0.840 0.908
O 0.204 0.977 0.080
O 0.204 0.987 0.693
O 0.219 0.783 0.185
O 0.289 0.177 0.743
O 0.306 0.514 0.242
O 0.309 0.141 0.412
O 0.328 0.542 0.517
O 0.331 0.107 0.017
O 0.343 0.520 0.914
O 0.351 0.126 0.129
O 0.362 0.499 0.628
O 0.435 0.890 0.347
O 0.454 0.659 0.851
O 0.462 0.693 0.962
O 0.465 0.841 0.457
O 0.465 0.857 0.750
O 0.471 0.661 0.248
O 0.499 0.362 0.128
O 0.509 0.626 0.574
O 0.514 0.306 0.742
O 0.516 0.850 0.077
O 0.518 0.183 0.241
O 0.519 0.119 0.632
O 0.520 0.343 0.414
O 0.524 0.141 0.917
O 0.542 0.328 0.017
O 0.556 0.127 0.522
O 0.626 0.509 0.074
O 0.635 0.852 0.575
O 0.642 0.881 0.861
O 0.646 0.870 0.245
O 0.659 0.454 0.351
O 0.661 0.471 0.748
O 0.688 0.856 0.970
O 0.693 0.462 0.462
O 0.771 0.997 0.180
O 0.783 0.219 0.685
O 0.791 0.180 0.797
O 0.793 0.189 0.081
O 0.797 0.020 0.290
O 0.809 0.990 0.583
O 0.835 0.970 0.908
O 0.840 0.189 0.408
O 0.841 0.465 0.957
O 0.850 0.516 0.577
O 0.852 0.635 0.075
O 0.856 0.688 0.470
O 0.857 0.465 0.250
O 0.870 0.646 0.745
O 0.881 0.642 0.361
O 0.890 0.435 0.847
O 0.952 0.185 0.910
O 0.970 0.835 0.408
O 0.977 0.204 0.580
O 0.987 0.204 0.193
O 0.990 0.809 0.083
O 0.997 0.771 0.680



No. 4
K3TmP2O8: optimized geometry, PBE.

Results
density	4.00	g/cm³
formation enthalpy at 0 K	-2.987	eV per atom
MP2020-corrected energy	-200.08	eV/cell
uncorrected energy	-6.753	eV/atom

Cell: 7.453 5.652 9.385 Å, 90.00 90.99 90.00°
Sites, in units of the cell vectors:
K 0.003 0.250 0.193
K 0.137 0.750 0.413
K 0.294 0.250 0.919
K 0.706 0.750 0.081
K 0.863 0.250 0.587
K 0.997 0.750 0.807
Tm 0.492 0.750 0.713
Tm 0.508 0.250 0.287
P 0.274 0.750 0.091
P 0.316 0.250 0.572
P 0.684 0.750 0.428
P 0.726 0.250 0.909
O 0.068 0.750 0.103
O 0.212 0.250 0.426
O 0.267 0.025 0.660
O 0.267 0.475 0.660
O 0.331 0.750 0.932
O 0.352 0.525 0.167
O 0.352 0.975 0.167
O 0.483 0.750 0.466
O 0.517 0.250 0.534
O 0.648 0.025 0.833
O 0.648 0.475 0.833
O 0.669 0.250 0.068
O 0.733 0.525 0.340
O 0.733 0.975 0.340
O 0.788 0.750 0.574
O 0.932 0.250 0.897



No. 5
Sm3Ho: optimized geometry, PBE.

Results
energy above the most stable polymorph in this dataset	0.022	eV/f.u.
density	7.74	g/cm³
formation enthalpy at 0 K	0.017	eV per atom
uncorrected energy	-4.667	eV/atom

Cell: 6.243 6.243 6.243 Å, 131.90 131.90 70.39°
Sites, in units of the cell vectors:
Sm 0.000 0.000 0.000
Sm 0.250 0.750 0.500
Sm 0.750 0.250 0.500
Ho 0.500 0.500 0.000



No. 6
GaNi3: optimized geometry, PBE.

Results
density	8.91	g/cm³
formation enthalpy at 0 K	-0.284	eV per atom
uncorrected energy	-5.376	eV/atom

Cell: 5.087 5.087 4.090 Å, 90.00 90.00 120.00°
Sites, in units of the cell vectors:
Ga 0.333 0.667 0.250
Ga 0.667 0.333 0.750
Ni 0.165 0.329 0.750
Ni 0.165 0.835 0.750
Ni 0.329 0.165 0.250
Ni 0.671 0.835 0.750
Ni 0.835 0.165 0.250
Ni 0.835 0.671 0.250